The following is a r²SCAN calculation of a geometry-optimized LuCdAg2 structure, from Materials Project.

The structure in POSCAR format:
```
LuCdAg2
1.0
0.000 3.419 3.419
3.419 0.000 3.419
3.419 3.419 0.000
Lu Cd Ag
1 1 2
direct
0.750 0.750 0.750
0.250 0.250 0.250
0.000 0.000 0.000
0.500 0.500 0.500
```

Values from the calculation:
E_form: -0.2734 eV/atom
total energy: -25.50 eV/atom
theoretical density: 10.455 g cm⁻³

---

The following is a r²SCAN calculation of a geometry-optimized Nd2CdAg structure, from Materials Project.

The structure in POSCAR format:
```
Nd2CdAg
1.0
-1.929 -4.985 0.439
-3.797 -1.714 -3.379
1.184 -3.672 -3.726
Nd Cd Ag
2 1 1
direct
0.750 0.750 0.750
0.250 0.250 0.250
0.000 0.000 0.000
0.500 0.500 0.500
```

Values from the calculation:
E_form: -0.3046 eV/atom
total energy: -25.38 eV/atom
theoretical density: 7.743 g cm⁻³

---

The following is a r²SCAN calculation of a geometry-optimized NdCdAg2 structure, from Materials Project.

The structure in POSCAR format:
```
NdCdAg2
1.0
1.577 3.317 3.411
-2.222 0.229 4.487
2.438 -1.574 4.087
Nd Cd Ag
1 1 2
direct
0.000 0.000 0.000
0.500 0.500 0.500
0.750 0.750 0.750
0.250 0.250 0.250
```

Values from the calculation:
E_form: -0.2796 eV/atom
total energy: -23.34 eV/atom
theoretical density: 8.811 g cm⁻³

---

The following is a r²SCAN calculation of a geometry-optimized PrCdAg2 structure, from Materials Project.

The structure in POSCAR format:
```
PrCdAg2
1.0
0.000 3.563 3.563
3.563 0.000 3.563
3.563 3.563 0.000
Pr Cd Ag
1 1 2
direct
0.750 0.750 0.750
0.250 0.250 0.250
0.500 0.500 0.500
0.000 0.000 0.000
```

Values from the calculation:
E_form: -0.2689 eV/atom
total energy: -23.32 eV/atom
theoretical density: 8.608 g cm⁻³